The following is a GGA-PBE calculation of Nb2CrOs after structural relaxation, from Materials Project.

Cell: 4.4607 4.4607 4.4607 Å, 60.00 60.00 60.00°
Last column: nearest neighbours and their distance in Å.
Sites, in units of the cell vectors:
Nb (0.2500, 0.2500, 0.2500)  4 Cr 2.73, 4 Os 2.73
Nb (0.7500, 0.7500, 0.7500)  4 Cr 2.73, 4 Os 2.73
Cr (0.5000, 0.5000, 0.5000)  8 Nb 2.73
Os (0.0000, 0.0000, 0.0000)  8 Nb 2.73

Summary:
Its space-group type is Fm-3m (225). The energy of formation is -0.1630 eV/atom.